# Sr2La3Fe4CuO15

A relaxed structure of Sr2La3Fe4CuO15 (PBE+U, the Materials Project).

Cell: 5.5388 5.5384 22.7942 Å, 83.00 83.01 59.97°
Positions (direct):
O (0.5003, 0.9995, 0.5008)
Fe (0.9499, 0.9499, 0.1503)
O (0.2058, 0.6901, 0.8981)
O (0.9994, 0.5003, 0.5008)
O (0.4099, 0.8942, 0.8019)
O (0.2058, 0.2058, 0.8981)
La (0.3000, 0.3000, 0.1000)
O (0.6005, 0.0998, 0.6992)
Sr (0.0004, 0.0004, 0.9987)
O (0.3942, 0.9098, 0.3019)
O (0.0003, 0.4995, 0.0008)
O (0.4995, 0.0003, 0.0008)
La (0.3990, 0.3990, 0.8029)
O (0.8942, 0.4099, 0.8019)
O (0.5997, 0.1006, 0.1991)
O (0.7058, 0.7058, 0.3980)
O (0.9098, 0.3943, 0.3019)
Sr (0.5996, 0.5996, 0.2012)
La (0.2009, 0.2009, 0.3972)
O (0.6005, 0.6005, 0.6992)
La (0.8991, 0.8991, 0.3028)
Fe (0.7499, 0.7499, 0.7503)
Fe (0.4499, 0.4499, 0.6503)
O (0.8000, 0.8000, 0.1000)
O (0.1006, 0.5997, 0.1992)
O (0.3000, 0.8000, 0.1000)
O (0.7057, 0.1902, 0.3981)
O (0.6901, 0.2058, 0.8981)
O (0.8000, 0.3000, 0.6000)
O (0.1006, 0.1006, 0.1991)
O (0.3942, 0.3942, 0.3019)
La (0.7009, 0.7010, 0.8972)
Cu (0.0500, 0.0500, 0.8500)
O (0.3000, 0.8000, 0.6000)
O (0.8000, 0.3000, 0.1000)
Cu (0.5500, 0.5500, 0.3500)
Sr (0.5004, 0.5004, 0.4988)
O (0.9994, 0.9995, 0.5009)
La (0.8000, 0.8000, 0.6000)
O (0.3000, 0.3000, 0.6000)
Sr (0.0996, 0.0996, 0.7013)
O (0.8942, 0.8942, 0.8020)
Fe (0.6501, 0.6501, 0.0497)
O (0.1903, 0.7057, 0.3981)
Fe (0.3501, 0.3501, 0.9497)
Fe (0.2499, 0.2499, 0.2503)
O (0.0998, 0.6005, 0.6992)
Fe (0.1501, 0.1501, 0.5497)
Fe (0.8501, 0.8501, 0.4497)
O (0.4995, 0.4995, 0.0009)

Properties
Formation energy in eV per atom: -2.488
E in eV/cell: -346.51
Calculated density in kg/m³: 6200